Record 1
DFT (PBE) results for a relaxed structure of Na8Al2Si5Ge2SO24.

Computed properties:
The energy relative to the elements comes out at -2.645 eV per atom. The energy with MP2020 corrections comes out at -6.868 eV/atom.

Cell and atoms, written as CIF:
```
data_Na8Al2Si5Ge2SO24
_chemical_formula_sum 'Na24 Al6 Si15 Ge6 S3 O72'
_symmetry_space_group_name_H-M 'P 1'
_symmetry_Int_Tables_number 1
_cell_length_a 8.787
_cell_length_b 8.796
_cell_length_c 21.547
_cell_angle_alpha 90.39
_cell_angle_beta 90.72
_cell_angle_gamma 119.80
loop_
_symmetry_equiv_pos_as_xyz
'x,y,z'
loop_
_atom_site_label
_atom_site_type_symbol
_atom_site_fract_x
_atom_site_fract_y
_atom_site_fract_z
_atom_site_occupancy
Na1 Na 0.000 0.000 0.000 1
Na2 Na 0.000 0.634 0.750 1
Na3 Na 0.002 0.267 0.496 1
Na4 Na 0.006 0.633 0.250 1
Na5 Na 0.036 0.956 0.674 1
Na6 Na 0.044 0.329 0.165 1
Na7 Na 0.296 0.961 0.172 1
Na8 Na 0.305 0.599 0.667 1
Na9 Na 0.328 0.295 0.084 1
Na10 Na 0.332 0.927 0.834 1
Na11 Na 0.334 0.656 0.333 1
Na12 Na 0.349 0.303 0.583 1
Na13 Na 0.374 0.630 0.000 1
Na14 Na 0.376 0.001 0.495 1
Na15 Na 0.623 0.620 0.502 1
Na16 Na 0.633 0.256 0.998 1
Na17 Na 0.659 0.332 0.664 1
Na18 Na 0.661 0.962 0.417 1
Na19 Na 0.665 0.596 0.167 1
Na20 Na 0.670 0.962 0.919 1
Na21 Na 0.694 0.290 0.335 1
Na22 Na 0.703 0.657 0.833 1
Na23 Na 0.967 0.293 0.836 1
Na24 Na 0.974 0.931 0.332 1
Al1 Al 0.324 0.294 0.234 1
Al2 Al 0.346 0.296 0.732 1
Al3 Al 0.346 0.307 0.433 1
Al4 Al 0.639 0.953 0.564 1
Al5 Al 0.671 0.950 0.059 1
Al6 Al 0.999 0.627 0.603 1
Si1 Si 0.001 0.341 0.000 1
Si2 Si 0.046 0.289 0.333 1
Si3 Si 0.048 0.009 0.831 1
Si4 Si 0.285 0.623 0.501 1
Si5 Si 0.294 0.921 0.999 1
Si6 Si 0.330 0.573 0.833 1
Si7 Si 0.334 0.008 0.333 1
Si8 Si 0.374 0.962 0.666 1
Si9 Si 0.381 0.672 0.164 1
Si10 Si 0.622 0.578 0.334 1
Si11 Si 0.624 0.293 0.833 1
Si12 Si 0.668 0.674 0.665 1
Si13 Si 0.713 0.337 0.501 1
Si14 Si 0.717 0.625 0.999 1
Si15 Si 0.956 0.962 0.165 1
Ge1 Ge 0.002 0.626 0.896 1
Ge2 Ge 0.003 0.612 0.393 1
Ge3 Ge 0.018 0.648 0.099 1
Ge4 Ge 0.335 0.293 0.937 1
Ge5 Ge 0.652 0.940 0.775 1
Ge6 Ge 0.662 0.943 0.273 1
S1 S 0.000 0.916 0.502 1
S2 S 0.667 0.247 0.167 1
S3 S 0.953 0.248 0.665 1
O1 O 0.022 0.464 0.337 1
O2 O 0.026 0.811 0.838 1
O3 O 0.026 0.832 0.557 1
O4 O 0.043 0.471 0.062 1
O5 O 0.128 0.133 0.894 1
O6 O 0.130 0.250 0.394 1
O7 O 0.130 0.265 0.669 1
O8 O 0.154 0.132 0.172 1
O9 O 0.157 0.599 0.838 1
O10 O 0.157 0.808 0.339 1
O11 O 0.160 0.091 0.499 1
O12 O 0.161 0.593 0.561 1
O13 O 0.166 0.332 0.272 1
O14 O 0.170 0.096 0.772 1
O15 O 0.170 0.847 0.060 1
O16 O 0.180 0.326 0.996 1
O17 O 0.180 0.653 0.161 1
O18 O 0.180 0.784 0.660 1
O19 O 0.201 0.669 0.439 1
O20 O 0.207 0.788 0.939 1
O21 O 0.296 0.454 0.771 1
O22 O 0.300 0.093 0.272 1
O23 O 0.303 0.446 0.494 1
O24 O 0.308 0.113 0.994 1
O25 O 0.350 0.136 0.673 1
O26 O 0.361 0.477 0.172 1
O27 O 0.369 0.129 0.395 1
O28 O 0.375 0.495 0.895 1
O29 O 0.461 0.799 0.227 1
O30 O 0.463 0.918 0.728 1
O31 O 0.483 0.799 0.504 1
O32 O 0.488 0.943 0.008 1
O33 O 0.489 0.482 0.670 1
O34 O 0.498 0.247 0.894 1
O35 O 0.499 0.005 0.607 1
O36 O 0.503 0.503 0.394 1
O37 O 0.503 0.765 0.105 1
O38 O 0.507 0.772 0.831 1
O39 O 0.508 0.265 0.169 1
O40 O 0.511 0.985 0.328 1
O41 O 0.516 0.315 0.494 1
O42 O 0.522 0.448 0.995 1
O43 O 0.539 0.455 0.272 1
O44 O 0.543 0.336 0.772 1
O45 O 0.642 0.774 0.605 1
O46 O 0.645 0.141 0.110 1
O47 O 0.646 0.777 0.329 1
O48 O 0.648 0.118 0.826 1
O49 O 0.694 0.168 0.224 1
O50 O 0.694 0.798 0.004 1
O51 O 0.698 0.143 0.507 1
O52 O 0.710 0.800 0.728 1
O53 O 0.803 0.583 0.061 1
O54 O 0.804 0.467 0.561 1
O55 O 0.820 0.469 0.839 1
O56 O 0.824 0.608 0.341 1
O57 O 0.826 0.424 0.165 1
O58 O 0.827 0.148 0.007 1
O59 O 0.830 0.918 0.227 1
O60 O 0.838 0.423 0.439 1
O61 O 0.843 0.668 0.939 1
O62 O 0.844 0.117 0.325 1
O63 O 0.844 0.652 0.661 1
O64 O 0.844 0.940 0.507 1
O65 O 0.849 0.988 0.827 1
O66 O 0.850 0.173 0.722 1
O67 O 0.866 0.998 0.106 1
O68 O 0.867 0.138 0.610 1
O69 O 0.961 0.426 0.939 1
O70 O 0.966 0.808 0.444 1
O71 O 0.971 0.778 0.161 1
O72 O 0.974 0.427 0.662 1
```

Record 2
DFT (PBE) results for a relaxed structure of Na2Al4Si3Ge4S9O48.

Computed properties:
The energy relative to the elements comes out at -2.227 eV per atom. The energy with MP2020 corrections comes out at -6.900 eV/atom.

Cell and atoms, written as CIF:
```
data_Na2Al4Si3Ge4S9O48
_chemical_formula_sum 'Na6 Al12 Si9 Ge12 S27 O144'
_symmetry_space_group_name_H-M 'P 1'
_symmetry_Int_Tables_number 1
_cell_length_a 8.410
_cell_length_b 14.499
_cell_length_c 21.821
_cell_angle_alpha 90.61
_cell_angle_beta 90.30
_cell_angle_gamma 90.11
loop_
_symmetry_equiv_pos_as_xyz
'x,y,z'
loop_
_atom_site_label
_atom_site_type_symbol
_atom_site_fract_x
_atom_site_fract_y
_atom_site_fract_z
_atom_site_occupancy
Na1 Na 0.000 0.000 0.000 1
Na2 Na 0.001 0.995 0.497 1
Na3 Na 0.494 0.500 0.995 1
Na4 Na 0.496 0.502 0.501 1
Na5 Na 0.506 0.166 0.331 1
Na6 Na 0.991 0.667 0.829 1
Al1 Al 0.000 0.674 0.981 1
Al2 Al 0.002 0.007 0.848 1
Al3 Al 0.005 0.337 0.525 1
Al4 Al 0.009 0.339 0.017 1
Al5 Al 0.490 0.835 0.023 1
Al6 Al 0.492 0.508 0.352 1
Al7 Al 0.494 0.837 0.522 1
Al8 Al 0.497 0.173 0.483 1
Al9 Al 0.500 0.501 0.851 1
Al10 Al 0.506 0.167 0.187 1
Al11 Al 0.980 0.671 0.685 1
Al12 Al 0.994 0.001 0.353 1
Si1 Si 0.142 0.144 0.749 1
Si2 Si 0.143 0.817 0.081 1
Si3 Si 0.209 0.840 0.418 1
Si4 Si 0.289 0.341 0.916 1
Si5 Si 0.353 0.648 0.251 1
Si6 Si 0.355 0.316 0.581 1
Si7 Si 0.645 0.642 0.751 1
Si8 Si 0.844 0.816 0.585 1
Si9 Si 0.854 0.144 0.250 1
Ge1 Ge 0.001 0.001 0.149 1
Ge2 Ge 0.005 0.686 0.479 1
Ge3 Ge 0.017 0.330 0.807 1
Ge4 Ge 0.018 0.677 0.188 1
Ge5 Ge 0.478 0.175 0.687 1
Ge6 Ge 0.483 0.829 0.313 1
Ge7 Ge 0.491 0.173 0.975 1
Ge8 Ge 0.496 0.504 0.646 1
Ge9 Ge 0.499 0.509 0.150 1
Ge10 Ge 0.501 0.831 0.807 1
Ge11 Ge 0.995 0.331 0.311 1
Ge12 Ge 0.996 0.004 0.645 1
S1 S 0.139 0.524 0.082 1
S2 S 0.140 0.479 0.416 1
S3 S 0.143 0.193 0.417 1
S4 S 0.143 0.858 0.751 1
S5 S 0.207 0.505 0.749 1
S6 S 0.211 0.172 0.083 1
S7 S 0.284 0.671 0.584 1
S8 S 0.289 0.004 0.250 1
S9 S 0.353 0.693 0.916 1
S10 S 0.354 0.359 0.250 1
S11 S 0.354 0.978 0.915 1
S12 S 0.357 0.026 0.582 1
S13 S 0.639 0.027 0.080 1
S14 S 0.640 0.982 0.416 1
S15 S 0.644 0.690 0.416 1
S16 S 0.647 0.314 0.083 1
S17 S 0.647 0.358 0.750 1
S18 S 0.707 0.005 0.750 1
S19 S 0.709 0.337 0.416 1
S20 S 0.712 0.670 0.082 1
S21 S 0.783 0.171 0.582 1
S22 S 0.786 0.837 0.916 1
S23 S 0.789 0.504 0.250 1
S24 S 0.849 0.858 0.250 1
S25 S 0.853 0.191 0.917 1
S26 S 0.856 0.481 0.917 1
S27 S 0.857 0.526 0.580 1
O1 O 0.053 0.772 0.022 1
O2 O 0.055 0.244 0.753 1
O3 O 0.056 0.920 0.092 1
O4 O 0.057 0.100 0.687 1
O5 O 0.064 0.433 0.075 1
O6 O 0.065 0.898 0.806 1
O7 O 0.066 0.236 0.470 1
O8 O 0.066 0.439 0.357 1
O9 O 0.066 0.563 0.138 1
O10 O 0.067 0.569 0.422 1
O11 O 0.069 0.103 0.408 1
O12 O 0.079 0.765 0.743 1
O13 O 0.096 0.928 0.406 1
O14 O 0.100 0.424 0.755 1
O15 O 0.105 0.743 0.421 1
O16 O 0.110 0.253 0.075 1
O17 O 0.112 0.088 0.087 1
O18 O 0.113 0.588 0.740 1
O19 O 0.114 0.083 0.808 1
O20 O 0.114 0.420 0.469 1
O21 O 0.116 0.754 0.142 1
O22 O 0.117 0.582 0.027 1
O23 O 0.123 0.914 0.695 1
O24 O 0.128 0.251 0.360 1
O25 O 0.161 0.652 0.243 1
O26 O 0.168 0.327 0.572 1
O27 O 0.178 0.682 0.923 1
O28 O 0.179 0.987 0.909 1
O29 O 0.180 0.318 0.856 1
O30 O 0.180 0.353 0.257 1
O31 O 0.181 0.019 0.587 1
O32 O 0.183 0.356 0.976 1
O33 O 0.186 0.682 0.638 1
O34 O 0.188 0.646 0.526 1
O35 O 0.191 0.021 0.303 1
O36 O 0.196 0.982 0.192 1
O37 O 0.302 0.481 0.693 1
O38 O 0.305 0.519 0.804 1
O39 O 0.309 0.150 0.027 1
O40 O 0.312 0.818 0.355 1
O41 O 0.313 0.186 0.137 1
O42 O 0.316 0.485 0.409 1
O43 O 0.318 0.182 0.423 1
O44 O 0.318 0.513 0.088 1
O45 O 0.319 0.854 0.759 1
O46 O 0.322 0.855 0.476 1
O47 O 0.329 0.827 0.072 1
O48 O 0.334 0.152 0.742 1
O49 O 0.369 0.752 0.860 1
O50 O 0.375 0.415 0.193 1
O51 O 0.380 0.255 0.642 1
O52 O 0.381 0.084 0.527 1
O53 O 0.382 0.582 0.307 1
O54 O 0.382 0.752 0.575 1
O55 O 0.383 0.922 0.970 1
O56 O 0.384 0.089 0.240 1
O57 O 0.387 0.586 0.587 1
O58 O 0.397 0.924 0.256 1
O59 O 0.398 0.247 0.924 1
O60 O 0.402 0.429 0.906 1
O61 O 0.422 0.266 0.240 1
O62 O 0.427 0.602 0.909 1
O63 O 0.427 0.935 0.575 1
O64 O 0.429 0.070 0.923 1
O65 O 0.429 0.939 0.859 1
O66 O 0.430 0.736 0.970 1
O67 O 0.434 0.065 0.638 1
O68 O 0.434 0.398 0.305 1
O69 O 0.436 0.608 0.187 1
O70 O 0.440 0.419 0.592 1
O71 O 0.441 0.748 0.254 1
O72 O 0.443 0.273 0.522 1
O73 O 0.557 0.601 0.688 1
O74 O 0.562 0.745 0.757 1
O75 O 0.564 0.068 0.135 1
O76 O 0.565 0.075 0.423 1
O77 O 0.567 0.397 0.804 1
O78 O 0.567 0.731 0.470 1
O79 O 0.568 0.276 0.027 1
O80 O 0.568 0.943 0.358 1
O81 O 0.570 0.409 0.090 1
O82 O 0.570 0.597 0.408 1
O83 O 0.570 0.935 0.071 1
O84 O 0.580 0.264 0.742 1
O85 O 0.602 0.923 0.758 1
O86 O 0.608 0.420 0.407 1
O87 O 0.609 0.582 0.810 1
O88 O 0.609 0.583 0.086 1
O89 O 0.611 0.253 0.421 1
O90 O 0.613 0.751 0.072 1
O91 O 0.614 0.088 0.741 1
O92 O 0.615 0.925 0.470 1
O93 O 0.617 0.258 0.137 1
O94 O 0.618 0.086 0.024 1
O95 O 0.626 0.413 0.694 1
O96 O 0.628 0.747 0.360 1
O97 O 0.662 0.828 0.569 1
O98 O 0.665 0.158 0.239 1
O99 O 0.676 0.852 0.258 1
O100 O 0.679 0.178 0.925 1
O101 O 0.682 0.518 0.587 1
O102 O 0.683 0.491 0.911 1
O103 O 0.686 0.150 0.526 1
O104 O 0.687 0.853 0.971 1
O105 O 0.689 0.518 0.304 1
O106 O 0.689 0.820 0.859 1
O107 O 0.691 0.186 0.638 1
O108 O 0.692 0.480 0.192 1
O109 O 0.802 0.981 0.694 1
O110 O 0.804 0.684 0.139 1
O111 O 0.805 0.320 0.359 1
O112 O 0.806 0.018 0.805 1
O113 O 0.809 0.353 0.470 1
O114 O 0.809 0.649 0.027 1
O115 O 0.813 0.019 0.087 1
O116 O 0.813 0.992 0.409 1
O117 O 0.817 0.676 0.423 1
O118 O 0.818 0.323 0.073 1
O119 O 0.821 0.352 0.759 1
O120 O 0.834 0.653 0.743 1
O121 O 0.869 0.247 0.861 1
O122 O 0.870 0.913 0.193 1
O123 O 0.879 0.584 0.524 1
O124 O 0.880 0.254 0.572 1
O125 O 0.880 0.423 0.972 1
O126 O 0.881 0.588 0.240 1
O127 O 0.884 0.753 0.921 1
O128 O 0.886 0.081 0.309 1
O129 O 0.886 0.088 0.586 1
O130 O 0.886 0.753 0.642 1
O131 O 0.888 0.920 0.908 1
O132 O 0.893 0.423 0.257 1
O133 O 0.916 0.764 0.242 1
O134 O 0.923 0.434 0.571 1
O135 O 0.926 0.098 0.910 1
O136 O 0.926 0.232 0.972 1
O137 O 0.928 0.442 0.860 1
O138 O 0.932 0.574 0.925 1
O139 O 0.932 0.898 0.303 1
O140 O 0.933 0.564 0.636 1
O141 O 0.935 0.248 0.258 1
O142 O 0.936 0.919 0.592 1
O143 O 0.937 0.777 0.523 1
O144 O 0.939 0.102 0.187 1
```

Record 3
DFT (PBE) results for a relaxed structure of Nb6AlGe.

Computed properties:
The energy relative to the elements comes out at -0.224 eV per atom.

Cell and atoms, written as CIF:
```
data_Nb6AlGe
_chemical_formula_sum 'Nb6 Al1 Ge1'
_symmetry_space_group_name_H-M 'P m -3'
_symmetry_Int_Tables_number 200
_symmetry_space_group_name_Hall '-P 2 2 3'
_cell_length_a 5.194
_cell_length_b 5.194
_cell_length_c 5.194
_cell_angle_alpha 90.00
_cell_angle_beta 90.00
_cell_angle_gamma 90.00
loop_
_atom_site_label
_atom_site_type_symbol
_atom_site_fract_x
_atom_site_fract_y
_atom_site_fract_z
_atom_site_occupancy
Nb1 Nb 0.000 0.250 0.500 1
Al1 Al 0.000 0.000 0.000 1
Ge1 Ge 0.500 0.500 0.500 1
```

Number 1: magnetization 0.0 μB/cell. Number 2: magnetization 0.0 μB/cell. Number 3: magnetization 0.0 μB/cell.